Y2ReC2: optimized geometry, meta-GGA r2SCAN.

Output
**E_form**: -0.554 eV per atom
**Calculated volume**: 83.2 Å³/f.u.

a = 6.580 Å, b = 5.117 Å, c = 9.889 Å
α = 90.00°, β = 90.00°, γ = 90.00°
Space group Pnma (No. 62)
Asymmetric unit:
Y: 0.034 0.250 0.215 [4 per cell]
Y: 0.180 0.250 0.557 [4 per cell]
Re: 0.222 0.250 0.865 [4 per cell]
C: 0.046 0.750 0.241 [4 per cell]
C: 0.179 0.750 0.547 [4 per cell]

---

Na3MgC2ClO6: optimized geometry, meta-GGA r2SCAN.

Output
**E_form**: -2.040 eV per atom
**Energy relative to the lowest polymorph listed for this composition**: 0.0000 eV/atom
**Calculated volume**: 170.4 Å³/f.u.

a = 13.969 Å, b = 13.969 Å, c = 13.969 Å
α = 90.00°, β = 90.00°, γ = 90.00°
Space group Fd-3 (No. 203, origin choice 2)
Asymmetric unit:
Na: 0.101 0.375 0.375 [48 per cell]
Mg: 0.000 0.000 0.500 [16 per cell]
C: 0.033 0.033 0.717 [32 per cell]
Cl: 0.000 0.000 0.000 [16 per cell]
O: 0.015 0.272 0.605 [96 per cell]

---

Mo2C: optimized geometry, meta-GGA r2SCAN.

Output
**E_form**: -0.139 eV per atom
**Calculated volume**: 37.3 Å³/f.u.

a = 4.729 Å, b = 6.053 Å, c = 5.210 Å
α = 90.00°, β = 90.00°, γ = 90.00°
Space group Pbcn (No. 60)
Asymmetric unit:
Mo: 0.246 0.122 0.080 [8 per cell]
C: 0.000 0.377 0.250 [4 per cell]

---

DyRu3C: optimized geometry, meta-GGA r2SCAN.

Output
**E_form**: -0.263 eV per atom
**Calculated volume**: 70.7 Å³/f.u.

a = 4.135 Å, b = 4.135 Å, c = 4.135 Å
α = 90.00°, β = 90.00°, γ = 90.00°
Space group Pm-3m (No. 221)
Asymmetric unit:
Dy: 0.000 0.000 0.000 [1 per cell]
Ru: 0.000 0.500 0.500 [3 per cell]
C: 0.500 0.500 0.500 [1 per cell]

---

LaAuO3: optimized geometry, meta-GGA r2SCAN.

Output
**E_form**: -2.118 eV per atom
**Calculated volume**: 75.5 Å³/f.u.

a = 4.039 Å, b = 13.101 Å, c = 5.708 Å
α = 90.00°, β = 90.00°, γ = 90.00°
Space group Pbcm (No. 57)
Asymmetric unit:
La: 0.236 0.082 0.250 [4 per cell]
Au: 0.428 0.670 0.750 [4 per cell]
O: 0.243 0.579 0.505 [8 per cell]
O: 0.329 0.250 0.000 [4 per cell]

---

Sr11In7: optimized geometry, meta-GGA r2SCAN.

Output
**E_form**: -0.438 eV per atom
**Calculated volume**: 707.7 Å³/f.u.

a = 17.823 Å, b = 17.823 Å, c = 17.823 Å
α = 90.00°, β = 90.00°, γ = 90.00°
Space group Fm-3m (No. 225)
Asymmetric unit:
Sr: 0.000 0.000 0.000 [4 per cell]
Sr: 0.000 0.000 0.500 [4 per cell]
Sr: 0.000 0.168 0.168 [48 per cell]
Sr: 0.130 0.130 0.370 [32 per cell]
In: 0.000 0.000 0.281 [24 per cell]
In: 0.190 0.190 0.190 [32 per cell]

---

KNdS2: optimized geometry, meta-GGA r2SCAN.

Output
**E_form**: -2.127 eV per atom
**Calculated volume**: 111.4 Å³/f.u.

a = 4.1893 Å, b = 4.1893 Å, c = 21.9896 Å
α = 90.00°, β = 90.00°, γ = 120.00°
Space group R-3m (No. 166, hexagonal axes)
Asymmetric unit:
K: 0.0000 0.0000 0.0000 [3 per cell]
Nd: 0.0000 0.0000 0.5000 [3 per cell]
S: 0.0000 0.0000 0.2365 [6 per cell]

---

Nd6CdGe2S14: optimized geometry, meta-GGA r2SCAN.

Output
**E_form**: -1.757 eV per atom
**Calculated volume**: 527.0 Å³/f.u.

a = 10.2459 Å, b = 10.2459 Å, c = 5.7970 Å
α = 90.00°, β = 90.00°, γ = 120.00°
Space group P3 (No. 143)
Asymmetric unit:
Nd: 0.0247 0.5642 0.0000 [3 per cell]
Nd: 0.3088 0.1022 0.5057 [3 per cell]
Cd: 0.6667 0.3333 0.2651 [1 per cell]
Ge: 0.0000 0.0000 0.9226 [1 per cell]
Ge: 0.3333 0.6667 0.4146 [1 per cell]
S: 0.0000 0.0000 0.2978 [1 per cell]
S: 0.0805 0.8538 0.7679 [3 per cell]
S: 0.1870 0.4395 0.2626 [3 per cell]
S: 0.3333 0.6667 0.7907 [1 per cell]
S: 0.4102 0.1694 0.0276 [3 per cell]
S: 0.5011 0.4234 0.5159 [3 per cell]

---

- Which value of calculated volume does entry 3 give?
  37.3 Å³/f.u.

---

- What is the formula in the second record?
  Na3MgC2ClO6

---

- What is the calculated volume in the second record?
  170.4 Å³/f.u.

---

- Among the records above, which one has the highest calculated volume?
  Sr11In7